Here is a relaxed NaZnB3H12 crystal from the Materials Project database. Energies are from PBE.

The structure in extended XYZ format:
```
68
Lattice="-2.1400 2.9783 -3.0607 1.5342 -5.3871 -6.3147 -16.0780 -6.2678 5.1422" Properties=species:S:1:pos:R:3 pbc="T T T"
H -0.1881 -1.1830 -1.9533
H -4.7365 -2.7450 -2.3014
B -8.1175 -4.1978 0.7027
H -13.5371 -7.1599 -0.3036
H -13.1451 -7.1056 -4.6002
H -3.1466 -1.5167 -3.9296
H -6.4477 -3.5830 -1.7146
H -12.3156 -3.6779 1.8827
H -4.7602 -3.6346 -0.4914
H -7.3999 -3.4040 1.3927
H -9.1176 -8.1351 -3.7902
B -11.6416 -2.6683 1.8223
H -7.0388 -6.5192 -1.4277
H -16.4956 -7.4936 -2.2799
H -11.9235 -5.0420 -3.7418
B -0.6387 -0.2844 -2.6696
H -15.8262 -3.3677 1.8119
H -4.3681 -4.9987 -6.1159
B -8.5662 -4.4788 -4.9358
H -12.9915 -9.9274 -1.8300
Zn -14.6205 -5.9641 2.5211
Na -2.3545 -2.2892 -1.5948
H -0.5390 -0.5084 -3.8506
B -11.4832 -5.0047 -2.5770
H -3.6922 1.2508 -2.4032
H -13.9858 -7.4139 1.5728
H -5.3031 -6.3057 -4.9024
H -9.6450 -2.1574 -2.8055
H -7.5662 -0.5415 -0.4430
H -1.7743 0.0170 -2.3470
Na -14.3292 -6.3875 -2.6384
H -3.5589 -3.3515 -7.4097
H -4.9599 -4.7750 -2.1049
Zn -2.0633 -2.7125 -6.7543
H -0.4440 -3.2533 -7.0516
H -13.1248 -5.3251 3.1765
H -4.5272 -1.9362 -5.3882
B -13.3225 -6.6903 0.7962
H -11.3807 -2.3710 0.6692
B -16.0450 -8.3923 -1.5636
H -7.8696 -4.1692 -5.8863
Zn -6.5620 -2.8572 -0.0222
H -16.2397 -5.4234 2.8184
H -8.7611 -3.5738 -0.1459
H -10.2361 -5.0937 -2.5186
B -2.5365 -1.0181 0.7760
B -3.3612 -1.9863 -5.0294
B -14.1472 -7.6585 -5.0091
H -9.2838 -5.2727 -5.6258
H -7.9226 -5.1028 -4.0872
B -5.2005 -3.6719 -1.6561
H -2.9769 -3.1713 -5.0148
B -5.0421 -6.0083 -6.0555
H -11.7238 -3.9016 -2.1283
H -13.7068 -5.5053 0.7816
H -0.8575 -5.3089 -6.0450
H -3.5386 -1.5710 0.3671
H -5.6860 -1.3558 -0.2530
Na -10.8816 -4.7437 0.2781
H -12.1565 -6.7404 1.1550
H -2.6979 -1.2627 -5.8060
H -8.8141 -4.5075 1.6531
H -10.9977 -7.3208 -3.9802
H -14.9095 -8.6936 -1.8861
Na -5.8021 -3.9329 -4.5113
H -16.1447 -8.1682 -0.3826
H -11.9472 -5.9316 -1.9318
Zn -10.1217 -5.8194 -4.2110
```

Summary:
energy: -3.838 eV per atom
formation enthalpy at 0 K: -0.239 eV/atom
energy relative to the lowest polymorph listed for this composition: 0.021 eV per atom